Entry 1:
Density functional theory data (GGA-PBE) for a relaxed YNbTe2O8 crystal.

a = 5.6085 Å, b = 5.6085 Å, c = 22.2604 Å
α = 90.00°, β = 90.00°, γ = 93.07°
Closest atoms and distances in Å follow each position.
Positions (direct):
Y: 0.2469 0.2469 0.0000  8 O 2.34-2.49
Y: 0.2531 0.2531 0.5000  8 O 2.34-2.49
Y: 0.7469 0.7469 0.5000  8 O 2.34-2.49
Y: 0.7531 0.7531 0.0000  8 O 2.34-2.49
Nb: 0.2466 0.2534 0.2500  3 O 1.83-1.99
Nb: 0.2534 0.2466 0.7500  3 O 1.83-1.99
Nb: 0.7466 0.7534 0.2500  3 O 1.83-1.99
Nb: 0.7534 0.7466 0.7500  3 O 1.83-1.99
Te: 0.1768 0.8232 0.8696  3 O 1.88-1.93
Te: 0.1912 0.8088 0.6059  3 O 1.91-1.92
Te: 0.3088 0.6912 0.1059  3 O 1.91-1.92
Te: 0.3232 0.6768 0.3696  3 O 1.88-1.93
Te: 0.6768 0.3232 0.6304  3 O 1.88-1.93
Te: 0.6912 0.3088 0.8941  3 O 1.91-1.92
Te: 0.8088 0.1912 0.3941  3 O 1.91-1.92
Te: 0.8232 0.1768 0.1304  3 O 1.88-1.93
O: 0.0154 0.9846 0.4356  1 Te 1.92
O: 0.0262 0.9738 0.7290  2 Nb 1.99
O: 0.0289 0.4711 0.7500  1 Nb 1.83
O: 0.0524 0.5670 0.0567  1 Te 1.91
O: 0.0670 0.5524 0.5567  1 Te 1.91
O: 0.0704 0.9296 0.9447  1 Te 1.88
O: 0.1449 0.2255 0.1607  1 Te 1.93, 1 Nb 2.07
O: 0.2255 0.1449 0.8393  1 Te 1.93, 1 Nb 2.07
O: 0.2745 0.3551 0.3393  1 Te 1.93, 1 Nb 2.07
O: 0.3551 0.2745 0.6607  1 Te 1.93, 1 Nb 2.07
O: 0.4296 0.5704 0.4447  1 Te 1.88
O: 0.4330 0.9476 0.0567  1 Te 1.91
O: 0.4476 0.9330 0.5567  1 Te 1.91
O: 0.4711 0.0289 0.2500  1 Nb 1.83
O: 0.4738 0.5262 0.2290  2 Nb 1.99
O: 0.4846 0.5154 0.9356  1 Te 1.92
O: 0.5154 0.4846 0.0644  1 Te 1.92
O: 0.5262 0.4738 0.7710  2 Nb 1.99
O: 0.5289 0.9711 0.7500  1 Nb 1.83
O: 0.5524 0.0670 0.4433  1 Te 1.91
O: 0.5670 0.0524 0.9433  1 Te 1.91
O: 0.5704 0.4296 0.5553  1 Te 1.88
O: 0.6449 0.7255 0.3393  1 Te 1.93, 1 Nb 2.07
O: 0.7255 0.6449 0.6607  1 Te 1.93, 1 Nb 2.07
O: 0.7745 0.8551 0.1607  1 Te 1.93, 1 Nb 2.07
O: 0.8551 0.7745 0.8393  1 Te 1.93, 1 Nb 2.07
O: 0.9296 0.0704 0.0553  1 Te 1.88
O: 0.9330 0.4476 0.4433  1 Te 1.91
O: 0.9476 0.4330 0.9433  1 Te 1.91
O: 0.9711 0.5289 0.2500  1 Nb 1.83
O: 0.9738 0.0262 0.2710  2 Nb 1.99
O: 0.9846 0.0154 0.5644  1 Te 1.92

Summary:
V (Å³/cell): 699
ρ (g/cm3): 5.37
Formation energy from the elements (eV/f.u.): -30.276
Space-group type: Cmce

Entry 2:
Density functional theory data (GGA-PBE) for a relaxed CeTh crystal.

a = 5.9887 Å, b = 5.9887 Å, c = 5.9887 Å
α = 33.47°, β = 33.47°, γ = 33.47°
Closest atoms and distances in Å follow each position.
Positions (direct):
Ce: 0.0000 0.0000 0.0000  6 Ce 3.45, 6 Th 3.46
Th: 0.5000 0.5000 0.5000  6 Th 3.45, 6 Ce 3.46

Summary:
V (Å³/cell): 58
ρ (g/cm3): 10.62
Formation energy from the elements (eV/f.u.): 0.015
Space-group type: R-3m

Entry 3:
Density functional theory data (GGA-PBE) for a relaxed BaNaBi crystal.

a = 8.7416 Å, b = 8.7416 Å, c = 5.1679 Å
α = 90.00°, β = 90.00°, γ = 120.00°
Closest atoms and distances in Å follow each position.
Positions (direct):
Ba: 0.0000 0.4176 0.0000  5 Bi 3.65-3.68, 2 Na 3.95
Ba: 0.4176 0.0000 0.0000  5 Bi 3.65-3.68, 2 Na 3.95
Ba: 0.5824 0.5824 0.0000  5 Bi 3.65-3.68, 2 Na 3.95
Na: 0.0000 0.7600 0.5000  4 Bi 3.33-3.40, 2 Na 3.63
Na: 0.2400 0.2400 0.5000  4 Bi 3.33-3.40, 2 Na 3.63
Na: 0.7600 0.0000 0.5000  4 Bi 3.33-3.40, 2 Na 3.63
Bi: 0.0000 0.0000 0.0000  6 Na 3.33, 3 Ba 3.65
Bi: 0.3333 0.6667 0.5000  3 Na 3.40, 6 Ba 3.68
Bi: 0.6667 0.3333 0.5000  3 Na 3.40, 6 Ba 3.68

Summary:
Maximum piezoelectric response (C/m²): 0.1
V (Å³/cell): 342
ρ (g/cm3): 5.38
Formation energy from the elements (eV/f.u.): -2.286
Space-group type: P-62m

Entry 4:
Density functional theory data (GGA-PBE) for a relaxed K2HgC4N4 crystal.

a = 9.2110 Å, b = 9.2110 Å, c = 9.2110 Å
α = 60.00°, β = 60.00°, γ = 60.00°
Closest atoms and distances in Å follow each position.
Positions (direct):
K: 0.0000 0.0000 0.0000  6 N 2.97
K: 0.0000 0.0000 0.5000  6 N 2.97
K: 0.0000 0.5000 0.0000  6 N 2.97
K: 0.5000 0.0000 0.0000  6 N 2.97
Hg: 0.3750 0.3750 0.3750  4 C 2.21
Hg: 0.6250 0.6250 0.6250  4 C 2.21
C: 0.2771 0.2771 0.2771  1 N 1.17
C: 0.2771 0.2771 0.6686  1 N 1.17
C: 0.2771 0.6686 0.2771  1 N 1.17
C: 0.3314 0.7229 0.7229  1 N 1.17
C: 0.6686 0.2771 0.2771  1 N 1.17
C: 0.7229 0.3314 0.7229  1 N 1.17
C: 0.7229 0.7229 0.3314  1 N 1.17
C: 0.7229 0.7229 0.7229  1 N 1.17
N: 0.1754 0.7749 0.7749  1 C 1.17
N: 0.2251 0.2251 0.2251  1 C 1.17
N: 0.2251 0.2251 0.8246  1 C 1.17
N: 0.2251 0.8246 0.2251  1 C 1.17
N: 0.7749 0.1754 0.7749  1 C 1.17
N: 0.7749 0.7749 0.1754  1 C 1.17
N: 0.7749 0.7749 0.7749  1 C 1.17
N: 0.8246 0.2251 0.2251  1 C 1.17

Summary:
V (Å³/cell): 553
ρ (g/cm3): 2.30
Formation energy from the elements (eV/f.u.): -1.037
Space-group type: Fd-3m

Entry 5:
Density functional theory data (GGA-PBE) for a relaxed CuAg2O2 crystal.

a = 5.1457 Å, b = 5.1457 Å, c = 5.1457 Å
α = 133.60°, β = 133.60°, γ = 67.71°
Closest atoms and distances in Å follow each position.
Positions (direct):
Cu: 0.0000 0.0000 0.0000  4 O 2.03
Ag: 0.2500 0.7500 0.5000  2 O 2.14
Ag: 0.7500 0.2500 0.5000  2 O 2.14
O: 0.0000 0.5000 0.5000  2 Cu 2.03, 2 Ag 2.14
O: 0.5000 0.0000 0.5000  2 Cu 2.03, 2 Ag 2.14

Summary:
V (Å³/cell): 70
ρ (g/cm3): 7.36
Formation energy from the elements (eV/f.u.): -1.802
Space-group type: I4/mmm

Entry 6:
Density functional theory data (GGA-PBE) for a relaxed Ti3H2O7 crystal.

a = 3.7967 Å, b = 8.4100 Å, c = 9.4024 Å
α = 80.24°, β = 89.98°, γ = 77.27°
Closest atoms and distances in Å follow each position.
Positions (direct):
Ti: 0.0000 0.0000 0.0000  4 O 1.82-1.99
Ti: 0.0218 0.9330 0.6936  5 O 1.87-1.99
Ti: 0.3056 0.3924 0.3275  6 O 1.86-2.06
Ti: 0.3507 0.3046 0.0285  4 O 1.83-1.98
Ti: 0.3906 0.2185 0.7182  2 O 1.74-1.90
Ti: 0.9509 0.0975 0.3052  2 O 1.74-1.95
H: 0.0062 0.5998 0.6736  1 O 0.98
H: 0.1296 0.7427 0.2856  1 O 1.03
H: 0.2057 0.6612 0.4562  1 O 0.98
H: 0.3726 0.5955 0.7252  1 O 0.99
O: 0.0095 0.9802 0.4786  1 Ti 1.74
O: 0.0390 0.9189 0.1933  1 H 1.55
O: 0.0788 0.8374 0.8887  2 Ti 1.83-1.87
O: 0.1844 0.6687 0.6557  2 H 0.98-0.99
O: 0.1878 0.6346 0.3594  2 H 0.98-1.03
O: 0.2649 0.4748 0.1303  2 Ti 1.83-1.86
O: 0.3159 0.3876 0.8335  2 Ti 1.84-1.90, 1 H 1.92
O: 0.3311 0.3372 0.5462  1 Ti 1.74
O: 0.4184 0.1638 0.2688  3 Ti 1.99-2.04
O: 0.4656 0.0684 0.9696  3 Ti 1.98-2.11
O: 0.5107 0.9729 0.6830  3 Ti 1.89-2.10
O: 0.8322 0.3382 0.3392  3 Ti 1.95-2.05
O: 0.8833 0.2373 0.0554  3 Ti 1.98-2.10
O: 0.9235 0.1510 0.7518  3 Ti 1.96-1.99

Summary:
Maximum piezoelectric response (C/m²): 0.9
V (Å³/cell): 288
ρ (g/cm3): 2.97
Formation energy from the elements (eV/f.u.): -34.488
Energy above the most stable polymorph in this dataset (meV/atom): 36
Space-group type: P1

Entry 7:
Density functional theory data (GGA-PBE) for a relaxed Mg14NbCu crystal.

a = 6.2894 Å, b = 6.2894 Å, c = 9.8972 Å
α = 90.00°, β = 90.00°, γ = 120.00°
Closest atoms and distances in Å follow each position.
Positions (direct):
Mg: 0.0000 0.0000 0.2475  12 Mg 3.07-3.15
Mg: 0.0000 0.0000 0.7525  12 Mg 3.07-3.15
Mg: 0.0144 0.5072 0.2523  1 Cu 3.00, 10 Mg 3.01-3.28, 1 Nb 3.04
Mg: 0.0144 0.5072 0.7477  1 Cu 3.00, 10 Mg 3.01-3.28, 1 Nb 3.04
Mg: 0.3315 0.1658 0.5000  10 Mg 3.08-3.16, 2 Cu 3.14
Mg: 0.3384 0.1692 0.0000  10 Mg 3.07-3.19, 2 Nb 3.14
Mg: 0.4928 0.5072 0.2523  1 Cu 3.00, 10 Mg 3.01-3.28, 1 Nb 3.04
Mg: 0.4928 0.5072 0.7477  1 Cu 3.00, 10 Mg 3.01-3.28, 1 Nb 3.04
Mg: 0.4928 0.9856 0.2523  1 Cu 3.00, 10 Mg 3.01-3.28, 1 Nb 3.04
Mg: 0.4928 0.9856 0.7477  1 Cu 3.00, 10 Mg 3.01-3.28, 1 Nb 3.04
Mg: 0.8308 0.1692 0.0000  10 Mg 3.07-3.19, 2 Nb 3.14
Mg: 0.8308 0.6616 0.0000  10 Mg 3.07-3.19, 2 Nb 3.14
Mg: 0.8342 0.1658 0.5000  10 Mg 3.08-3.16, 2 Cu 3.14
Mg: 0.8342 0.6685 0.5000  10 Mg 3.08-3.16, 2 Cu 3.14
Nb: 0.3333 0.6667 0.0000  12 Mg 3.04-3.14
Cu: 0.3333 0.6667 0.5000  12 Mg 3.00-3.14

Summary:
V (Å³/cell): 339
ρ (g/cm3): 2.43
Formation energy from the elements (eV/f.u.): 1.298
Energy above the most stable polymorph in this dataset (meV/atom): 0
Space-group type: P-6m2

Please write out number 5 again, unchanged.
Density functional theory data (GGA-PBE) for a relaxed CuAg2O2 crystal.

a = 5.1457 Å, b = 5.1457 Å, c = 5.1457 Å
α = 133.60°, β = 133.60°, γ = 67.71°
Closest atoms and distances in Å follow each position.
Positions (direct):
Cu: 0.0000 0.0000 0.0000  4 O 2.03
Ag: 0.2500 0.7500 0.5000  2 O 2.14
Ag: 0.7500 0.2500 0.5000  2 O 2.14
O: 0.0000 0.5000 0.5000  2 Cu 2.03, 2 Ag 2.14
O: 0.5000 0.0000 0.5000  2 Cu 2.03, 2 Ag 2.14

Summary:
V (Å³/cell): 70
ρ (g/cm3): 7.36
Formation energy from the elements (eV/f.u.): -1.802
Space-group type: I4/mmm

Repeat the seventh record exactly.
Density functional theory data (GGA-PBE) for a relaxed Mg14NbCu crystal.

a = 6.2894 Å, b = 6.2894 Å, c = 9.8972 Å
α = 90.00°, β = 90.00°, γ = 120.00°
Closest atoms and distances in Å follow each position.
Positions (direct):
Mg: 0.0000 0.0000 0.2475  12 Mg 3.07-3.15
Mg: 0.0000 0.0000 0.7525  12 Mg 3.07-3.15
Mg: 0.0144 0.5072 0.2523  1 Cu 3.00, 10 Mg 3.01-3.28, 1 Nb 3.04
Mg: 0.0144 0.5072 0.7477  1 Cu 3.00, 10 Mg 3.01-3.28, 1 Nb 3.04
Mg: 0.3315 0.1658 0.5000  10 Mg 3.08-3.16, 2 Cu 3.14
Mg: 0.3384 0.1692 0.0000  10 Mg 3.07-3.19, 2 Nb 3.14
Mg: 0.4928 0.5072 0.2523  1 Cu 3.00, 10 Mg 3.01-3.28, 1 Nb 3.04
Mg: 0.4928 0.5072 0.7477  1 Cu 3.00, 10 Mg 3.01-3.28, 1 Nb 3.04
Mg: 0.4928 0.9856 0.2523  1 Cu 3.00, 10 Mg 3.01-3.28, 1 Nb 3.04
Mg: 0.4928 0.9856 0.7477  1 Cu 3.00, 10 Mg 3.01-3.28, 1 Nb 3.04
Mg: 0.8308 0.1692 0.0000  10 Mg 3.07-3.19, 2 Nb 3.14
Mg: 0.8308 0.6616 0.0000  10 Mg 3.07-3.19, 2 Nb 3.14
Mg: 0.8342 0.1658 0.5000  10 Mg 3.08-3.16, 2 Cu 3.14
Mg: 0.8342 0.6685 0.5000  10 Mg 3.08-3.16, 2 Cu 3.14
Nb: 0.3333 0.6667 0.0000  12 Mg 3.04-3.14
Cu: 0.3333 0.6667 0.5000  12 Mg 3.00-3.14

Summary:
V (Å³/cell): 339
ρ (g/cm3): 2.43
Formation energy from the elements (eV/f.u.): 1.298
Energy above the most stable polymorph in this dataset (meV/atom): 0
Space-group type: P-6m2

- The lowest formation energy from the elements belongs to which entry?
  Ti3H2O7

- Which of these has the lowest formation energy from the elements?
  Ti3H2O7